Record 1
## SbPd3 (r2SCAN)

Data for a relaxed SbPd3 crystal.

Unit cell a=4.027 b=4.027 c=4.027 alpha=90.00 beta=90.00 gamma=90.00
Fractional positions:
Sb (0.000, 0.000, 0.000)
Pd (0.000, 0.500, 0.500)
Pd (0.500, 0.000, 0.500)
Pd (0.500, 0.500, 0.000)

SG	Pm-3m, No. 221


Record 2
## SbPd3 (r2SCAN)

Data for a relaxed SbPd3 crystal.

Unit cell a=5.699 b=5.699 c=4.637 alpha=90.00 beta=90.00 gamma=120.00
Fractional positions:
Sb (0.333, 0.667, 0.250)
Sb (0.667, 0.333, 0.750)
Pd (0.167, 0.335, 0.750)
Pd (0.167, 0.833, 0.750)
Pd (0.335, 0.167, 0.250)
Pd (0.665, 0.833, 0.750)
Pd (0.833, 0.167, 0.250)
Pd (0.833, 0.665, 0.250)

SG	P6_3/mmc, No. 194


Record 3
## Sb7Pd20 (r2SCAN)

Data for a relaxed Sb7Pd20 crystal.

Unit cell a=7.768 b=7.768 c=7.768 alpha=99.18 beta=99.18 gamma=99.18
Fractional positions:
Sb (0.000, 0.000, 0.000)
Sb (0.122, 0.274, 0.545)
Sb (0.274, 0.545, 0.122)
Sb (0.455, 0.878, 0.726)
Sb (0.545, 0.122, 0.274)
Sb (0.726, 0.455, 0.878)
Sb (0.878, 0.726, 0.455)
Pd (0.001, 0.342, 0.226)
Pd (0.013, 0.310, 0.856)
Pd (0.144, 0.987, 0.690)
Pd (0.209, 0.666, 0.475)
Pd (0.226, 0.001, 0.342)
Pd (0.310, 0.856, 0.013)
Pd (0.334, 0.525, 0.791)
Pd (0.342, 0.226, 0.001)
Pd (0.377, 0.377, 0.377)
Pd (0.475, 0.209, 0.666)
Pd (0.525, 0.791, 0.334)
Pd (0.623, 0.623, 0.623)
Pd (0.658, 0.774, 0.999)
Pd (0.666, 0.475, 0.209)
Pd (0.690, 0.144, 0.987)
Pd (0.774, 0.999, 0.658)
Pd (0.791, 0.334, 0.525)
Pd (0.856, 0.013, 0.310)
Pd (0.987, 0.690, 0.144)
Pd (0.999, 0.658, 0.774)

SG	R-3, No. 148


Record 4
## SbPd2 (r2SCAN)

Data for a relaxed SbPd2 crystal.

Unit cell a=8.946 b=8.946 c=6.966 alpha=90.00 beta=90.00 gamma=157.73
Fractional positions:
Sb (0.057, 0.943, 0.500)
Sb (0.295, 0.705, 0.472)
Sb (0.705, 0.295, 0.972)
Sb (0.943, 0.057, 0.000)
Pd (0.086, 0.914, 0.871)
Pd (0.170, 0.830, 0.245)
Pd (0.325, 0.675, 0.092)
Pd (0.462, 0.538, 0.694)
Pd (0.538, 0.462, 0.194)
Pd (0.675, 0.325, 0.592)
Pd (0.830, 0.170, 0.745)
Pd (0.914, 0.086, 0.371)

SG	Cmc2_1, No. 36


Record 5
## SbPd (r2SCAN)

Data for a relaxed SbPd crystal.

Unit cell a=4.112 b=4.112 c=5.641 alpha=90.00 beta=90.00 gamma=120.00
Fractional positions:
Sb (0.333, 0.667, 0.250)
Sb (0.667, 0.333, 0.750)
Pd (0.000, 0.000, 0.000)
Pd (0.000, 0.000, 0.500)

SG	P6_3/mmc, No. 194


Record 6
## SmSbPd (r2SCAN)

Data for a relaxed SmSbPd crystal.

Unit cell a=4.616 b=4.616 c=7.594 alpha=90.00 beta=90.00 gamma=120.00
Fractional positions:
Sm (0.000, 0.000, 0.000)
Sm (0.000, 0.000, 0.500)
Sb (0.333, 0.667, 0.228)
Sb (0.667, 0.333, 0.728)
Pd (0.333, 0.667, 0.826)
Pd (0.667, 0.333, 0.326)

SG	P6_3mc, No. 186


Record 7
## TbSbPd (r2SCAN)

Data for a relaxed TbSbPd crystal.

Unit cell a=4.580 b=4.580 c=7.459 alpha=90.00 beta=90.00 gamma=120.00
Fractional positions:
Tb (0.000, 0.000, 0.000)
Tb (0.000, 0.000, 0.500)
Sb (0.333, 0.667, 0.227)
Sb (0.667, 0.333, 0.727)
Pd (0.333, 0.667, 0.835)
Pd (0.667, 0.333, 0.335)

SG	P6_3mc, No. 186


Record 8
## Y5SbPd2 (r2SCAN)

Data for a relaxed Y5SbPd2 crystal.

Unit cell a=8.784 b=8.784 c=8.784 alpha=127.64 beta=127.64 gamma=77.21
Fractional positions:
Y (0.000, 0.000, 0.000)
Y (0.013, 0.513, 0.812)
Y (0.201, 0.013, 0.500)
Y (0.299, 0.799, 0.812)
Y (0.487, 0.299, 0.500)
Y (0.500, 0.500, 0.000)
Y (0.513, 0.701, 0.500)
Y (0.701, 0.201, 0.188)
Y (0.799, 0.987, 0.500)
Y (0.987, 0.487, 0.188)
Sb (0.250, 0.250, 0.000)
Sb (0.750, 0.750, 0.000)
Pd (0.136, 0.364, 0.500)
Pd (0.364, 0.864, 0.227)
Pd (0.636, 0.136, 0.773)
Pd (0.864, 0.636, 0.500)

SG	I4/mcm, No. 140


no.,mass density (kg/m3),formation energy from the elements (eV per atom)
1,11218,-0.344
2,11231,-0.348
3,11037,-0.435
4,10519,-0.445
5,9176,-0.432
6,8972,-1.197
7,9487,-1.198
8,6275,-0.831